Record 1
Below is an optimized crystal structure of H6PbCI3N, with properties calculated at the PBE level.

Geometry as CIF:
```
data_H6PbCI3N
_cell_length_a 6.437
_cell_length_b 6.438
_cell_length_c 6.492
_cell_angle_alpha 90.00
_cell_angle_beta 90.42
_cell_angle_gamma 90.00
_space_group_name_H-M_alt 'P 1 m 1'
_space_group_IT_number 6
loop_
_space_group_symop_operation_xyz
'x,y,z'
'x,-y,z'
loop_
_atom_site_label
_atom_site_fract_x
_atom_site_fract_y
_atom_site_fract_z
H1 0.000 0.000 0.000
H2 0.025 0.130 0.781
H3 0.662 0.139 0.889
H4 0.689 0.000 0.652
Pb1 0.296 0.500 0.296
C1 0.726 0.000 0.817
I1 0.249 0.500 0.793
I2 0.258 0.000 0.326
I3 0.783 0.500 0.269
N1 0.956 0.000 0.845
```

Magnetization, μB per cell: 0.0
ΔE to the lowest computed polymorph, meV per atom: 7
Energy relative to the elements, eV/atom: -0.4287

***

Record 2
Below is an optimized crystal structure of NdGa3Ni, with properties calculated at the PBE level.

Geometry as CIF:
```
data_NdGa3Ni
_cell_length_a 4.153
_cell_length_b 4.153
_cell_length_c 10.664
_cell_angle_alpha 90.00
_cell_angle_beta 90.00
_cell_angle_gamma 90.00
_space_group_name_H-M_alt 'I -4 m 2'
_space_group_IT_number 119
_space_group_name_Hall 'I -4 -2'
loop_
_atom_site_label
_atom_site_fract_x
_atom_site_fract_y
_atom_site_fract_z
Nd1 0.000 0.000 0.000
Ga1 0.000 0.000 0.381
Ga2 0.000 0.500 0.250
Ni1 0.000 0.500 0.750
```

Magnetization, μB per cell: 0.0
ΔE to the lowest computed polymorph, meV per atom: 73
Energy relative to the elements, eV/atom: -0.5354

***

Record 3
Below is an optimized crystal structure of Ho2MgTc, with properties calculated at the PBE level.

Geometry as CIF:
```
data_Ho2MgTc
_cell_length_a 7.098
_cell_length_b 7.098
_cell_length_c 7.098
_cell_angle_alpha 90.00
_cell_angle_beta 90.00
_cell_angle_gamma 90.00
_space_group_name_H-M_alt 'F m -3 m'
_space_group_IT_number 225
_space_group_name_Hall '-F 4 2 3'
loop_
_atom_site_label
_atom_site_fract_x
_atom_site_fract_y
_atom_site_fract_z
Ho1 0.250 0.250 0.250
Mg1 0.000 0.000 0.000
Tc1 0.000 0.000 0.500
```

Magnetization, μB per cell: 0.0
Energy relative to the elements, eV/atom: -0.0252

***

Record 4
Below is an optimized crystal structure of Cs2AgBiF6, with properties calculated at the PBE level.

Geometry as CIF:
```
data_Cs2AgBiF6
_cell_length_a 9.542
_cell_length_b 9.542
_cell_length_c 9.542
_cell_angle_alpha 90.00
_cell_angle_beta 90.00
_cell_angle_gamma 90.00
_space_group_name_H-M_alt 'F m -3 m'
_space_group_IT_number 225
_space_group_name_Hall '-F 4 2 3'
loop_
_atom_site_label
_atom_site_fract_x
_atom_site_fract_y
_atom_site_fract_z
Cs1 0.250 0.250 0.250
Ag1 0.000 0.000 0.000
Bi1 0.000 0.000 0.500
F1 0.000 0.000 0.261
```

Energy relative to the elements, eV/atom: -2.5693

***

Record 5
Below is an optimized crystal structure of Cd2Mo15Se19, with properties calculated at the PBE level.

Geometry as CIF:
```
data_Cd2Mo15Se19
_cell_length_a 9.7928
_cell_length_b 9.7928
_cell_length_c 58.1317
_cell_angle_alpha 90.00
_cell_angle_beta 90.00
_cell_angle_gamma 120.00
_space_group_name_H-M_alt 'R -3 c'
_space_group_IT_number 167
_space_group_name_Hall '-R 3 2"c'
loop_
_atom_site_label
_atom_site_fract_x
_atom_site_fract_y
_atom_site_fract_z
Cd1 0.0000 0.0000 0.1140
Mo1 0.0000 0.1592 0.2500
Mo2 0.0114 0.1624 0.7105
Mo3 0.0194 0.1682 0.9801
Se1 0.0000 0.0000 0.0549
Se2 0.0000 0.0000 0.1755
Se3 0.0000 0.3064 0.7500
Se4 0.0066 0.3747 0.9523
Se5 0.0099 0.3831 0.6836
```

Magnetization, μB per cell: 0.0
Energy relative to the elements, eV/atom: -0.7041

***

Record 6
Below is an optimized crystal structure of Tm2CdCu2, with properties calculated at the PBE level.

Geometry as CIF:
```
data_Tm2CdCu2
_cell_length_a 7.498
_cell_length_b 7.498
_cell_length_c 3.588
_cell_angle_alpha 90.00
_cell_angle_beta 90.00
_cell_angle_gamma 90.00
_space_group_name_H-M_alt 'P 4/m b m'
_space_group_IT_number 127
_space_group_name_Hall '-P 4 2ab'
loop_
_atom_site_label
_atom_site_fract_x
_atom_site_fract_y
_atom_site_fract_z
Tm1 0.176 0.324 0.000
Cd1 0.000 0.000 0.500
Cu1 0.117 0.617 0.500
```

Energy relative to the elements, eV/atom: -0.3031

***

Record 7
Below is an optimized crystal structure of Ce2SnHg, with properties calculated at the PBE level.

Geometry as CIF:
```
data_Ce2SnHg
_cell_length_a 7.712
_cell_length_b 7.712
_cell_length_c 7.712
_cell_angle_alpha 90.00
_cell_angle_beta 90.00
_cell_angle_gamma 90.00
_space_group_name_H-M_alt 'F m -3 m'
_space_group_IT_number 225
_space_group_name_Hall '-F 4 2 3'
loop_
_atom_site_label
_atom_site_fract_x
_atom_site_fract_y
_atom_site_fract_z
Ce1 0.250 0.250 0.250
Sn1 0.000 0.000 0.000
Hg1 0.000 0.000 0.500
```

Magnetization, μB per cell: 7.9
Energy relative to the elements, eV/atom: -0.4392

***

Record 8
Below is an optimized crystal structure of VRu3, with properties calculated at the PBE level.

Geometry as CIF:
```
data_VRu3
_cell_length_a 5.4651
_cell_length_b 5.4651
_cell_length_c 4.2581
_cell_angle_alpha 90.00
_cell_angle_beta 90.00
_cell_angle_gamma 120.00
_space_group_name_H-M_alt 'P 63/m m c'
_space_group_IT_number 194
_space_group_name_Hall '-P 6c 2c'
loop_
_atom_site_label
_atom_site_fract_x
_atom_site_fract_y
_atom_site_fract_z
V1 0.3333 0.6667 0.2500
Ru1 0.1699 0.3398 0.7500
```

Energy relative to the elements, eV/atom: -0.1177

***

Repeat the fifth record exactly.
Below is an optimized crystal structure of Cd2Mo15Se19, with properties calculated at the PBE level.

Geometry as CIF:
```
data_Cd2Mo15Se19
_cell_length_a 9.7928
_cell_length_b 9.7928
_cell_length_c 58.1317
_cell_angle_alpha 90.00
_cell_angle_beta 90.00
_cell_angle_gamma 120.00
_space_group_name_H-M_alt 'R -3 c'
_space_group_IT_number 167
_space_group_name_Hall '-R 3 2"c'
loop_
_atom_site_label
_atom_site_fract_x
_atom_site_fract_y
_atom_site_fract_z
Cd1 0.0000 0.0000 0.1140
Mo1 0.0000 0.1592 0.2500
Mo2 0.0114 0.1624 0.7105
Mo3 0.0194 0.1682 0.9801
Se1 0.0000 0.0000 0.0549
Se2 0.0000 0.0000 0.1755
Se3 0.0000 0.3064 0.7500
Se4 0.0066 0.3747 0.9523
Se5 0.0099 0.3831 0.6836
```

Magnetization, μB per cell: 0.0
Energy relative to the elements, eV/atom: -0.7041

***

Q: The highest energy relative to the elements belongs to which entry?
A: Ho2MgTc

***

Q: Among the records above, which one has the highest energy relative to the elements?
A: Ho2MgTc